Entry from the Materials Project: crystalline Na2SO4 at its relaxed geometry (PBE).

Structure (POSCAR):
```
Na2SO4
1.0
2.8551 -4.5302 0.0000
2.8551 4.5302 0.0000
0.0000 0.0000 7.0275
Na S O
4 2 8
Cartesian
2.8551 2.8526 5.2706
2.8551 -2.8526 1.7569
2.8551 0.0000 3.5137
2.8551 0.0000 0.0000
2.8551 -3.1570 5.2706
2.8551 3.1570 1.7569
2.8551 2.2998 0.5461
2.8551 -2.2998 4.0598
2.8551 -2.2998 6.4814
2.8551 2.2998 2.9677
1.2185 0.4921 5.2706
4.4917 -0.4921 1.7569
4.4917 0.4921 5.2706
1.2185 -0.4921 1.7569
```

Calculated formation energy (eV/atom): -2.21
Calculated total energy (eV/f.u.): -39.3

Entry from the Materials Project: crystalline SnP3O9 at its relaxed geometry (PBE).

Structure (POSCAR):
```
SnP3O9
1.0
-7.2890 -3.9465 -2.9147
3.9934 -1.7346 -7.6379
3.0342 -8.1412 3.4354
Sn P O
4 12 36
Cartesian
-0.4117 -8.6160 -4.6230
-4.3599 -4.8569 -4.9317
0.7004 -8.8570 1.0731
3.5484 -5.3150 -5.7528
-0.2904 -11.9297 -4.4684
4.5726 -6.9336 -2.9303
1.2654 -3.2568 -3.9211
1.7744 -7.6712 -2.1275
-1.5517 -3.9436 -3.1397
-2.5432 -6.7433 -2.8920
1.1011 -5.7700 -0.0800
-3.8647 -10.7215 -1.4215
-4.8335 -5.7176 -1.4911
1.2709 -10.9992 -6.6948
0.3210 -6.0461 -6.7429
1.2097 -3.2018 -6.7940
-1.5702 -11.9517 -5.4694
-0.7098 -6.6542 -5.8279
-3.3828 -5.0056 -7.0249
-2.3274 -9.5067 -5.3544
0.9582 -2.5225 -5.3519
1.3838 -7.8077 -3.5739
2.4201 -4.2085 -4.0555
-0.1643 -10.6067 -3.7427
3.3747 -7.5176 -2.0239
-0.0596 -4.1493 -3.7128
-3.2182 -6.5935 -4.2391
1.3698 -8.7322 -1.1437
1.3055 -2.1797 -2.8716
1.2595 -6.1995 -1.6275
-2.5188 -3.7659 -4.2849
-1.5985 -7.9048 -2.7671
-2.4887 -11.0398 -1.9456
-1.7600 -5.3888 -2.4532
2.6468 -5.8635 0.4125
-1.5595 -2.8845 -2.0684
0.6598 -4.3360 -0.0035
2.5625 -7.9430 1.9070
-3.6554 -6.8302 -1.7258
-1.3270 -9.5645 0.4676
-5.2350 -5.0931 -2.7972
0.2171 -6.7638 0.6438
-3.7718 -9.6576 -0.2145
-0.0662 -6.3204 -8.2831
2.6425 -3.6808 -6.8963
0.9223 -9.6111 -6.2380
-1.8850 -8.0930 -8.2565
0.9150 -12.0926 -5.5291
1.7610 -6.4293 -6.5022
3.7987 -10.3985 -4.4388
4.2351 -7.0664 -4.3924
0.1606 -4.4408 -6.7243
```

Calculated formation energy (eV/atom): -2.41
Calculated total energy (eV/f.u.): -89.9

What is the calculated total energy in the first record?
-39.3 eV/f.u.